1.
Crystalline Zr3TlF15 at its relaxed geometry, computed with PBE.

Geometry as extended XYZ:
```
76
Lattice="8.120 0.000 0.000 -1.400 8.006 0.000 -2.811 -3.365 15.661" Properties=species:S:1:pos:R:3 pbc="T T T"
Zr 0.000 0.000 0.000
Zr -1.404 -1.666 7.862
Zr 1.268 2.939 5.059
Zr -0.100 1.245 12.859
Zr 2.669 3.207 1.109
Zr 2.682 -0.955 4.481
Zr 1.291 1.508 8.957
Zr 1.257 5.611 8.413
Zr 2.694 7.333 0.526
Zr 5.361 3.601 4.458
Zr 3.962 1.925 12.312
Zr 5.332 -1.957 11.757
Tl 1.273 -2.639 12.304
Tl 6.726 3.870 0.559
Tl 6.742 -0.259 3.903
Tl 5.353 2.200 8.412
F -2.557 -2.223 13.862
F -1.155 -0.556 6.130
F -1.707 -1.517 9.971
F -0.139 0.179 2.064
F -2.102 1.972 12.923
F -0.693 3.765 5.083
F -1.427 -0.370 12.306
F -0.011 1.433 4.491
F -2.279 5.109 12.016
F -0.707 6.782 4.281
F 0.759 4.141 0.869
F -0.604 2.459 8.662
F 1.323 1.656 0.521
F -0.066 -0.069 8.441
F -0.784 5.600 7.771
F 0.617 7.263 0.053
F 0.203 1.079 10.749
F 1.613 2.835 2.963
F -0.362 0.126 14.655
F 1.100 1.759 6.823
F 0.001 5.552 10.122
F 0.013 3.206 11.997
F 1.456 5.005 4.276
F 1.457 7.216 2.460
F 1.276 4.266 6.736
F -0.123 2.623 14.517
F 2.501 1.067 4.725
F 2.523 -1.187 6.519
F 1.112 -2.783 14.486
F 1.149 -0.473 12.596
F 2.864 5.342 1.285
F 1.509 3.635 9.158
F 3.702 1.332 1.188
F 2.388 -0.350 8.906
F 3.332 3.420 5.191
F 1.956 1.838 13.039
F 4.026 3.436 2.745
F 2.636 1.686 10.612
F 4.567 3.644 0.237
F 3.198 1.985 8.098
F 4.669 -0.822 4.785
F 3.424 -2.403 12.618
F 5.372 -0.455 2.127
F 2.578 5.834 10.089
F 3.238 5.760 7.659
F 1.871 4.059 15.391
F 5.493 1.612 3.879
F 4.267 -0.106 11.694
F 5.111 5.530 3.728
F 3.699 3.920 11.579
F 6.848 1.706 0.264
F 5.450 0.039 8.151
F 4.072 0.673 14.042
F 5.529 2.395 6.234
F 5.291 4.952 6.177
F 3.990 3.267 13.994
F 6.558 6.030 0.847
F 5.198 4.369 8.688
F 6.639 3.659 2.736
F 5.218 2.043 10.587
```

Calculated values
Its total energy is -6.221 eV per atom. The mass density is 4.98 g cm⁻³. The magnetization is 0.00 μB per formula unit.

***

2.
Crystalline ZrTlF5 at its relaxed geometry, computed with PBE.

Geometry as extended XYZ:
```
28
Lattice="7.629 0.000 0.000 0.000 8.091 0.000 -3.630 0.000 7.227" Properties=species:S:1:pos:R:3 pbc="T T T"
Zr -1.172 1.311 2.454
Zr -2.987 2.735 6.068
Zr 6.986 5.356 1.160
Zr 5.171 6.780 4.773
Tl 0.718 4.288 5.096
Tl 2.533 7.848 1.482
Tl 1.465 0.243 5.745
Tl 3.281 3.803 2.131
F -2.837 0.518 5.717
F -1.022 3.527 2.103
F -0.143 1.702 0.479
F -1.958 2.343 4.092
F 1.078 4.088 0.519
F -0.737 8.048 4.133
F 0.916 5.740 2.442
F -0.900 6.396 6.055
F 0.775 1.665 2.965
F -1.040 2.380 6.579
F 5.039 5.711 0.649
F 3.224 6.425 4.262
F 4.898 1.695 1.172
F 3.083 2.351 4.786
F 4.735 0.043 3.094
F 2.920 4.002 6.708
F 5.956 5.748 3.135
F 4.141 6.388 6.749
F 5.020 4.564 5.124
F 6.836 7.572 1.510
```

Calculated values
Its total energy is -6.085 eV per atom. The mass density is 5.82 g cm⁻³.

***

3.
Crystalline TmF3 at its relaxed geometry, computed with PBE.

Geometry as extended XYZ:
```
8
Lattice="3.610 0.000 0.000 0.000 3.610 0.000 0.000 0.000 6.385" Properties=species:S:1:pos:R:3 pbc="T T T"
Tm 0.000 0.000 0.000
Tm 1.805 1.805 3.193
F 0.000 0.000 3.193
F 0.000 1.805 1.596
F 0.000 1.805 4.789
F 1.805 0.000 1.596
F 1.805 0.000 4.789
F 1.805 1.805 0.000
```

Calculated values
Its total energy is -6.329 eV per atom. The mass density is 9.02 g cm⁻³.

***

4.
Crystalline TmF3 at its relaxed geometry, computed with PBE.

Geometry as extended XYZ:
```
16
Lattice="5.503 0.000 0.000 0.000 5.503 0.000 0.000 0.000 5.503" Properties=species:S:1:pos:R:3 pbc="T T T"
Tm 0.000 0.000 0.000
Tm 0.000 2.751 2.751
Tm 2.751 0.000 2.751
Tm 2.751 2.751 0.000
F 0.000 0.000 2.751
F 0.000 2.751 0.000
F 1.376 1.376 1.376
F 1.376 1.376 4.127
F 1.376 4.127 1.376
F 1.376 4.127 4.127
F 2.751 0.000 0.000
F 2.751 2.751 2.751
F 4.127 1.376 1.376
F 4.127 1.376 4.127
F 4.127 4.127 1.376
F 4.127 4.127 4.127
```

Calculated values
Its total energy is -6.310 eV per atom. The mass density is 9.01 g cm⁻³.

***

5.
Crystalline UF3 at its relaxed geometry, computed with PBE.

Geometry as extended XYZ:
```
24
Lattice="7.202 0.000 0.000 -3.601 6.237 0.000 0.000 0.000 7.399" Properties=species:S:1:pos:R:3 pbc="T T T"
U -1.175 2.036 0.000
U -2.426 4.201 3.699
U 2.351 0.000 0.000
U 1.175 2.036 3.699
U 4.851 0.000 3.699
U 2.426 4.201 0.000
F 0.000 0.000 0.509
F 0.000 0.000 4.209
F -1.004 1.739 2.417
F -1.357 2.350 4.922
F -2.244 3.887 1.223
F -2.597 4.498 6.117
F 2.008 0.000 2.417
F 1.004 1.739 6.117
F 0.000 4.158 3.339
F 0.000 4.158 7.038
F 2.714 0.000 4.922
F 1.357 2.350 1.223
F 4.488 0.000 1.223
F 2.244 3.887 4.922
F 3.601 2.079 3.339
F 3.601 2.079 7.038
F 5.194 0.000 6.117
F 2.597 4.498 2.417
```

Calculated values
Its total energy is -7.654 eV per atom. The mass density is 8.85 g cm⁻³.

***

6.
Crystalline UF6 at its relaxed geometry, computed with PBE.

Geometry as extended XYZ:
```
28
Lattice="10.783 0.000 0.000 0.000 9.822 0.000 0.000 0.000 5.260" Properties=species:S:1:pos:R:3 pbc="T T T"
U 1.050 2.455 0.328
U 4.342 7.366 2.958
U 6.441 2.455 2.302
U 9.733 7.366 4.932
F 0.278 1.048 4.362
F 0.278 3.863 4.362
F 0.677 7.366 3.874
F 1.811 1.038 1.546
F 1.811 3.873 1.546
F 2.665 7.366 1.828
F 2.726 2.455 4.458
F 3.580 5.949 4.176
F 3.580 8.784 4.176
F 4.715 2.455 1.244
F 5.113 5.959 1.732
F 5.113 8.774 1.732
F 5.669 1.048 3.528
F 5.669 3.863 3.528
F 6.068 7.366 4.016
F 7.203 1.038 1.084
F 7.203 3.873 1.084
F 8.057 7.366 0.802
F 8.117 2.455 3.432
F 8.971 5.949 3.715
F 8.971 8.784 3.715
F 10.106 2.455 1.386
F 10.505 5.959 0.898
F 10.505 8.774 0.898
```

Calculated values
Its total energy is -6.540 eV per atom. The mass density is 4.20 g cm⁻³. As for the excess energy over the best structure of this formula in the dataset: 0.030 eV per formula unit.

***

7.
Crystalline UF3 at its relaxed geometry, computed with PBE.

Geometry as extended XYZ:
```
16
Lattice="5.820 0.000 0.000 0.000 5.820 0.000 0.000 0.000 5.820" Properties=species:S:1:pos:R:3 pbc="T T T"
U 0.000 0.000 0.000
U 0.000 2.910 2.910
U 2.910 0.000 2.910
U 2.910 2.910 0.000
F 0.000 0.000 2.910
F 0.000 2.910 0.000
F 1.455 1.455 1.455
F 1.455 1.455 4.365
F 1.455 4.365 1.455
F 1.455 4.365 4.365
F 2.910 0.000 0.000
F 2.910 2.910 2.910
F 4.365 1.455 1.455
F 4.365 1.455 4.365
F 4.365 4.365 1.455
F 4.365 4.365 4.365
```

Calculated values
Its total energy is -7.503 eV per atom. The mass density is 9.94 g cm⁻³. The magnetization is 3.00 μB per formula unit.

***

8.
Crystalline UF4 at its relaxed geometry, computed with PBE.

Geometry as extended XYZ:
```
30
Lattice="6.440 -5.425 0.000 6.440 5.425 0.000 -4.983 0.000 6.800" Properties=species:S:1:pos:R:3 pbc="T T T"
U 2.703 3.117 5.100
U 2.963 0.781 1.158
U 0.472 -0.781 4.558
U 7.425 0.781 2.242
U 4.933 -0.781 5.642
U 5.194 -3.117 1.700
F 3.220 2.713 0.000
F 0.620 3.799 5.768
F -0.695 0.593 3.093
F -3.186 -0.593 6.493
F 2.960 2.228 2.904
F 1.344 1.344 4.824
F -0.700 0.333 6.090
F 4.785 3.799 4.432
F 1.791 -0.333 2.690
F 5.194 1.095 1.700
F 7.428 2.228 0.496
F 4.061 1.344 5.376
F 0.728 -2.713 3.400
F 3.836 -1.344 1.424
F 0.469 -2.228 6.304
F 2.703 -1.095 5.100
F 6.105 0.333 4.110
F 3.112 -3.799 2.368
F 8.597 -0.333 0.710
F 6.553 -1.344 1.976
F 4.936 -2.228 3.896
F 11.083 0.593 0.307
F 8.591 -0.593 3.707
F 7.277 -3.799 1.032
```

Calculated values
Its total energy is -7.384 eV per atom. The mass density is 6.58 g cm⁻³.

***

9.
Crystalline UF6 at its relaxed geometry, computed with PBE.

Geometry as extended XYZ:
```
28
Lattice="10.197 0.000 0.000 0.000 9.252 0.000 0.000 0.000 5.343" Properties=species:S:1:pos:R:3 pbc="T T T"
U 1.325 2.313 0.432
U 3.773 6.939 3.103
U 6.424 2.313 2.240
U 8.872 6.939 4.912
F 0.131 2.313 4.148
F 0.177 0.862 1.252
F 0.177 3.764 1.252
F 2.485 0.912 4.897
F 2.485 3.715 4.897
F 2.513 2.313 2.083
F 2.586 6.939 4.754
F 2.613 5.538 2.226
F 2.613 8.341 2.226
F 4.922 5.488 3.923
F 4.922 8.390 3.923
F 4.968 6.939 1.476
F 5.229 2.313 3.867
F 5.275 0.862 1.420
F 5.275 3.764 1.420
F 7.584 0.912 3.118
F 7.584 3.715 3.118
F 7.611 2.313 0.589
F 7.684 6.939 3.261
F 7.712 5.538 0.446
F 7.712 8.341 0.446
F 10.020 5.488 4.092
F 10.020 8.390 4.092
F 10.066 6.939 1.196
```

Calculated values
Its total energy is -6.544 eV per atom. The mass density is 4.64 g cm⁻³. As for the excess energy over the best structure of this formula in the dataset: 0.000 eV per formula unit.

***

10.
Crystalline UF3 at its relaxed geometry, computed with PBE.

Geometry as extended XYZ:
```
4
Lattice="4.183 0.000 0.000 -2.092 3.623 0.000 0.000 0.000 4.639" Properties=species:S:1:pos:R:3 pbc="T T T"
U 0.000 0.000 0.000
F 0.000 0.000 2.319
F 0.000 2.415 0.508
F 2.092 1.208 4.131
```

Calculated values
Its total energy is -7.624 eV per atom. The mass density is 6.97 g cm⁻³.

***

11.
Crystalline UF3 at its relaxed geometry, computed with PBE.

Geometry as extended XYZ:
```
8
Lattice="3.723 0.000 0.000 0.000 3.723 0.000 0.000 0.000 6.990" Properties=species:S:1:pos:R:3 pbc="T T T"
U 0.000 0.000 0.000
U 1.861 1.861 3.495
F 0.000 0.000 3.495
F 0.000 1.861 1.748
F 0.000 1.861 5.243
F 1.861 0.000 1.748
F 1.861 0.000 5.243
F 1.861 1.861 0.000
```

Calculated values
Its total energy is -7.511 eV per atom. The mass density is 10.11 g cm⁻³. The magnetization is 3.00 μB per formula unit.

***

12.
Crystalline XeF4 at its relaxed geometry, computed with PBE.

Geometry as extended XYZ:
```
10
Lattice="5.273 0.000 0.000 0.000 5.990 0.000 -4.250 0.000 5.900" Properties=species:S:1:pos:R:3 pbc="T T T"
Xe 0.000 0.000 0.000
Xe -2.125 2.995 2.950
F -1.020 0.053 1.770
F -3.145 2.942 4.720
F -0.555 3.898 3.891
F 1.569 5.087 0.941
F -0.546 0.903 4.959
F 1.579 2.092 2.009
F 4.169 3.048 1.180
F 2.044 5.937 4.130
```

Calculated values
Its total energy is -2.026 eV per atom. The mass density is 3.69 g cm⁻³.